# 1
The following is a DFT calculation (PBE with a Hubbard U) of an optimized crystal structure of V2Zn3Si3O12.

Output
symmetry: Ia-3d, No. 230
calculated formation energy: -49.65 eV per formula unit

Unit cell a=10.3094 b=10.3094 c=10.3094 alpha=109.47 beta=109.47 gamma=109.47
Positions (direct):
1 V 0.0000 0.0000 0.0000
2 V 0.0000 0.0000 0.5000
3 V 0.0000 0.5000 0.0000
4 V 0.0000 0.5000 0.5000
5 V 0.5000 0.0000 0.0000
6 V 0.5000 0.0000 0.5000
7 V 0.5000 0.5000 0.0000
8 V 0.5000 0.5000 0.5000
9 Zn 0.1250 0.2500 0.3750
10 Zn 0.1250 0.3750 0.7500
11 Zn 0.2500 0.3750 0.1250
12 Zn 0.2500 0.8750 0.6250
13 Zn 0.3750 0.1250 0.2500
14 Zn 0.3750 0.7500 0.1250
15 Zn 0.6250 0.2500 0.8750
16 Zn 0.6250 0.8750 0.7500
17 Zn 0.7500 0.1250 0.3750
18 Zn 0.7500 0.6250 0.8750
19 Zn 0.8750 0.6250 0.2500
20 Zn 0.8750 0.7500 0.6250
21 Si 0.1250 0.7500 0.8750
22 Si 0.1250 0.8750 0.2500
23 Si 0.2500 0.1250 0.8750
24 Si 0.2500 0.6250 0.3750
25 Si 0.3750 0.2500 0.6250
26 Si 0.3750 0.6250 0.7500
27 Si 0.6250 0.3750 0.2500
28 Si 0.6250 0.7500 0.3750
29 Si 0.7500 0.3750 0.6250
30 Si 0.7500 0.8750 0.1250
31 Si 0.8750 0.1250 0.7500
32 Si 0.8750 0.2500 0.1250
33 O 0.0175 0.2095 0.1236
34 O 0.0175 0.3080 0.8938
35 O 0.0859 0.7095 0.6920
36 O 0.0859 0.8764 0.3938
37 O 0.1062 0.6236 0.4141
38 O 0.1062 0.9825 0.6920
39 O 0.1236 0.0175 0.2095
40 O 0.1236 0.6062 0.9141
41 O 0.1920 0.2095 0.5859
42 O 0.1920 0.4825 0.6062
43 O 0.2095 0.1236 0.0175
44 O 0.2095 0.5859 0.1920
45 O 0.2905 0.3080 0.9141
46 O 0.2905 0.4825 0.3764
47 O 0.3080 0.8938 0.0175
48 O 0.3080 0.9141 0.2905
49 O 0.3764 0.2905 0.4825
50 O 0.3764 0.5859 0.8938
51 O 0.3938 0.0859 0.8764
52 O 0.3938 0.8080 0.5175
53 O 0.4141 0.1062 0.6236
54 O 0.4141 0.8080 0.7905
55 O 0.4825 0.3764 0.2905
56 O 0.4825 0.6062 0.1920
57 O 0.5175 0.3938 0.8080
58 O 0.5175 0.6236 0.7095
59 O 0.5859 0.1920 0.2095
60 O 0.5859 0.8938 0.3764
61 O 0.6062 0.1920 0.4825
62 O 0.6062 0.9141 0.1236
63 O 0.6236 0.4141 0.1062
64 O 0.6236 0.7095 0.5175
65 O 0.6920 0.0859 0.7095
66 O 0.6920 0.1062 0.9825
67 O 0.7095 0.5175 0.6236
68 O 0.7095 0.6920 0.0859
69 O 0.7905 0.4141 0.8080
70 O 0.7905 0.8764 0.9825
71 O 0.8080 0.5175 0.3938
72 O 0.8080 0.7905 0.4141
73 O 0.8764 0.3938 0.0859
74 O 0.8764 0.9825 0.7905
75 O 0.8938 0.0175 0.3080
76 O 0.8938 0.3764 0.5859
77 O 0.9141 0.1236 0.6062
78 O 0.9141 0.2905 0.3080
79 O 0.9825 0.6920 0.1062
80 O 0.9825 0.7905 0.8764

=====

# 2
The following is a DFT calculation (PBE with a Hubbard U) of an optimized crystal structure of MgV4O7F5.

Output
symmetry: P1, No. 1
calculated formation energy: -45.65 eV per formula unit

Unit cell a=5.1681 b=5.2667 c=9.2518 alpha=74.29 beta=89.43 gamma=60.67
Positions (direct):
1 Mg 0.0000 0.0000 0.0000
2 V 0.1526 0.7736 0.3843
3 V 0.3644 0.2651 0.1150
4 V 0.6446 0.7437 0.8820
5 V 0.9695 0.2529 0.6142
6 O 0.0071 0.6092 0.0126
7 O 0.0656 0.4904 0.4500
8 O 0.2819 0.0496 0.2651
9 O 0.3204 0.9899 0.7057
10 O 0.3768 0.0248 0.9813
11 O 0.6086 0.4274 0.9673
12 O 0.9601 0.0097 0.4867
13 F 0.3758 0.5431 0.2272
14 F 0.5243 0.5519 0.5151
15 F 0.7923 0.0748 0.7809
16 F 0.8320 0.9767 0.2035
17 F 0.8920 0.5420 0.7290

=====

# 3
The following is a DFT calculation (PBE with a Hubbard U) of an optimized crystal structure of Na2NiP2H2O6.

Output
symmetry: Pnma, No. 62
calculated formation energy: -25.76 eV per formula unit

Unit cell a=12.1621 b=5.4174 c=9.2488 alpha=90.00 beta=90.00 gamma=90.00
Positions (direct):
1 Na 0.0952 0.2500 0.2237
2 Na 0.2219 0.2500 0.8243
3 Na 0.2781 0.7500 0.3243
4 Na 0.4048 0.7500 0.7237
5 Na 0.5952 0.2500 0.2763
6 Na 0.7219 0.2500 0.6757
7 Na 0.7781 0.7500 0.1757
8 Na 0.9048 0.7500 0.7763
9 Ni 0.1601 0.7500 0.6354
10 Ni 0.3399 0.2500 0.1354
11 Ni 0.6601 0.7500 0.8646
12 Ni 0.8399 0.2500 0.3646
13 P 0.0178 0.2500 0.6236
14 P 0.1862 0.7500 0.0004
15 P 0.3138 0.2500 0.5004
16 P 0.4822 0.7500 0.1236
17 P 0.5178 0.2500 0.8764
18 P 0.6862 0.7500 0.4996
19 P 0.8138 0.2500 0.9996
20 P 0.9822 0.7500 0.3764
21 H 0.0698 0.7500 0.9940
22 H 0.0813 0.2500 0.4969
23 H 0.4187 0.7500 0.9969
24 H 0.4302 0.2500 0.4940
25 H 0.5698 0.7500 0.5060
26 H 0.5813 0.2500 0.0031
27 H 0.9187 0.7500 0.5031
28 H 0.9302 0.2500 0.0060
29 O 0.0508 0.0170 0.7093
30 O 0.0508 0.4830 0.7093
31 O 0.1037 0.7500 0.4221
32 O 0.2155 0.5126 0.0837
33 O 0.2155 0.9874 0.0837
34 O 0.2300 0.7500 0.8446
35 O 0.2700 0.2500 0.3446
36 O 0.2845 0.0126 0.5837
37 O 0.2845 0.4874 0.5837
38 O 0.3963 0.2500 0.9221
39 O 0.4492 0.5170 0.2093
40 O 0.4492 0.9830 0.2093
41 O 0.5508 0.0170 0.7907
42 O 0.5508 0.4830 0.7907
43 O 0.6037 0.7500 0.0779
44 O 0.7155 0.5126 0.4163
45 O 0.7155 0.9874 0.4163
46 O 0.7300 0.7500 0.6554
47 O 0.7700 0.2500 0.1554
48 O 0.7845 0.0126 0.9163
49 O 0.7845 0.4874 0.9163
50 O 0.8963 0.2500 0.5779
51 O 0.9492 0.5170 0.2907
52 O 0.9492 0.9830 0.2907

=====

# 4
The following is a DFT calculation (PBE with a Hubbard U) of an optimized crystal structure of Mn2BrO3.

Output
symmetry: Pnma, No. 62
calculated formation energy: -9.07 eV per formula unit

Unit cell a=5.9973 b=6.7542 c=8.5865 alpha=90.00 beta=90.00 gamma=90.00
Positions (direct):
1 Mn 0.0000 0.0000 0.0000
2 Mn 0.0000 0.5000 0.0000
3 Mn 0.1930 0.2500 0.2492
4 Mn 0.3070 0.7500 0.7492
5 Mn 0.5000 0.0000 0.5000
6 Mn 0.5000 0.5000 0.5000
7 Mn 0.6930 0.2500 0.2508
8 Mn 0.8070 0.7500 0.7508
9 Br 0.1504 0.2500 0.5408
10 Br 0.3496 0.7500 0.0408
11 Br 0.6504 0.2500 0.9592
12 Br 0.8496 0.7500 0.4592
13 O 0.0528 0.5627 0.7765
14 O 0.0528 0.9373 0.7765
15 O 0.1750 0.2500 0.0208
16 O 0.3250 0.7500 0.5208
17 O 0.4472 0.0627 0.2765
18 O 0.4472 0.4373 0.2765
19 O 0.5528 0.5627 0.7235
20 O 0.5528 0.9373 0.7235
21 O 0.6750 0.2500 0.4792
22 O 0.8250 0.7500 0.9792
23 O 0.9472 0.0627 0.2235
24 O 0.9472 0.4373 0.2235

=====

# 5
The following is a DFT calculation (PBE with a Hubbard U) of an optimized crystal structure of Sr4LiMn2Cu3S4O4.

Output
symmetry: P1, No. 1
calculated formation energy: -31.77 eV per formula unit

Unit cell a=5.8366 b=6.2893 c=8.9839 alpha=92.59 beta=107.80 gamma=93.19
Positions (direct):
1 Sr 0.0000 0.0000 0.0000
2 Sr 0.1878 0.9560 0.4190
3 Sr 0.4911 0.5746 0.0178
4 Sr 0.7565 0.3982 0.4278
5 Li 0.6472 0.8143 0.3432
6 Mn 0.0995 0.4792 0.2139
7 Mn 0.5516 0.0826 0.1385
8 Cu 0.1407 0.2528 0.7303
9 Cu 0.6001 0.2602 0.7290
10 Cu 0.6494 0.6901 0.6897
11 S 0.3088 0.4655 0.5652
12 S 0.4280 0.0086 0.8570
13 S 0.7846 0.9925 0.5966
14 S 0.9348 0.4898 0.8793
15 O 0.3454 0.8378 0.1983
16 O 0.3937 0.3347 0.1957
17 O 0.8579 0.6751 0.2615
18 O 0.9060 0.1768 0.2335

=====

# 6
The following is a DFT calculation (PBE with a Hubbard U) of an optimized crystal structure of Li3Co4O4F3.

Output
symmetry: I4/mmm, No. 139
calculated formation energy: -27.44 eV per formula unit

Unit cell a=15.0786 b=15.0786 c=15.0786 alpha=168.69 beta=168.69 gamma=16.02
Positions (direct):
1 Li 0.0000 0.0000 0.0000
2 Li 0.4313 0.4313 0.0000
3 Li 0.5687 0.5687 0.0000
4 Co 0.1408 0.1408 0.0000
5 Co 0.2817 0.2817 0.0000
6 Co 0.7183 0.7183 0.0000
7 Co 0.8592 0.8592 0.0000
8 O 0.2128 0.2128 0.0000
9 O 0.3587 0.3587 0.0000
10 O 0.6413 0.6413 0.0000
11 O 0.7872 0.7872 0.0000
12 F 0.0665 0.0665 0.0000
13 F 0.5000 0.5000 0.0000
14 F 0.9335 0.9335 0.0000

=====

# 7
The following is a DFT calculation (PBE with a Hubbard U) of an optimized crystal structure of Mg2AgWO6.

Output
symmetry: P2_1/c, No. 14
calculated formation energy: -21.43 eV per formula unit

Unit cell a=5.2314 b=5.3702 c=9.9150 alpha=90.00 beta=121.36 gamma=90.00
Positions (direct):
1 Mg 0.2143 0.0310 0.2165
2 Mg 0.2143 0.4690 0.7165
3 Mg 0.7857 0.5310 0.2835
4 Mg 0.7857 0.9690 0.7835
5 Ag 0.0000 0.0000 0.5000
6 Ag 0.0000 0.5000 0.0000
7 W 0.5000 0.0000 0.0000
8 W 0.5000 0.5000 0.5000
9 O 0.1462 0.1668 0.9662
10 O 0.1462 0.3332 0.4662
11 O 0.2176 0.7258 0.8752
12 O 0.2176 0.7742 0.3752
13 O 0.4536 0.1443 0.8081
14 O 0.4536 0.3557 0.3081
15 O 0.5464 0.6443 0.6919
16 O 0.5464 0.8557 0.1919
17 O 0.7824 0.2258 0.6248
18 O 0.7824 0.2742 0.1248
19 O 0.8538 0.6668 0.5338
20 O 0.8538 0.8332 0.0338

=====

# 8
The following is a DFT calculation (PBE with a Hubbard U) of an optimized crystal structure of MoP2O8.

Output
symmetry: P2_1/c, No. 14
calculated formation energy: -25.52 eV per formula unit

Unit cell a=9.9817 b=11.9110 c=17.4356 alpha=90.00 beta=112.22 gamma=90.00
Positions (direct):
1 Mo 0.0434 0.1944 0.2391
2 Mo 0.0434 0.3056 0.7391
3 Mo 0.2936 0.6974 0.5921
4 Mo 0.2936 0.8026 0.0921
5 Mo 0.3708 0.2124 0.5752
6 Mo 0.3708 0.2876 0.0752
7 Mo 0.6292 0.7124 0.9248
8 Mo 0.6292 0.7876 0.4248
9 Mo 0.7064 0.1974 0.9079
10 Mo 0.7064 0.3026 0.4079
11 Mo 0.9566 0.6944 0.2609
12 Mo 0.9566 0.8056 0.7609
13 P 0.0328 0.5482 0.8442
14 P 0.0328 0.9518 0.3442
15 P 0.0547 0.1999 0.9391
16 P 0.0547 0.3001 0.4391
17 P 0.2683 0.7063 0.8848
18 P 0.2683 0.7937 0.3848
19 P 0.2923 0.0380 0.9785
20 P 0.2923 0.4620 0.4785
21 P 0.3806 0.5394 0.1615
22 P 0.3806 0.9606 0.6615
23 P 0.4023 0.1722 0.3768
24 P 0.4023 0.3278 0.8768
25 P 0.5977 0.6722 0.1232
26 P 0.5977 0.8278 0.6232
27 P 0.6194 0.0394 0.3385
28 P 0.6194 0.4606 0.8385
29 P 0.7077 0.5380 0.5215
30 P 0.7077 0.9620 0.0215
31 P 0.7317 0.2063 0.6152
32 P 0.7317 0.2937 0.1152
33 P 0.9453 0.6999 0.5609
34 P 0.9453 0.8001 0.0609
35 P 0.9672 0.0482 0.6558
36 P 0.9672 0.4518 0.1558
37 O 0.0100 0.5259 0.9208
38 O 0.0100 0.9741 0.4208
39 O 0.0109 0.0528 0.2836
40 O 0.0109 0.4472 0.7836
41 O 0.0193 0.2301 0.8505
42 O 0.0193 0.2699 0.3505
43 O 0.0564 0.1485 0.7102
44 O 0.0564 0.3515 0.2102
45 O 0.0719 0.1369 0.1574
46 O 0.0719 0.3631 0.6574
47 O 0.0791 0.6953 0.5367
48 O 0.0791 0.8047 0.0367
49 O 0.1247 0.0774 0.9596
50 O 0.1247 0.4226 0.4596
51 O 0.1658 0.2207 0.5025
52 O 0.1658 0.2793 0.0025
53 O 0.1672 0.7161 0.3149
54 O 0.1672 0.7839 0.8149
55 O 0.2010 0.5833 0.8594
56 O 0.2010 0.9167 0.3594
57 O 0.2482 0.1958 0.3143
58 O 0.2482 0.3042 0.8143
59 O 0.2774 0.7373 0.9697
60 O 0.2774 0.7627 0.4697
61 O 0.2857 0.6427 0.1175
62 O 0.2857 0.8573 0.6175
63 O 0.2961 0.6457 0.6832
64 O 0.2961 0.8543 0.1832
65 O 0.3088 0.5530 0.5463
66 O 0.3088 0.9470 0.0463
67 O 0.3166 0.0015 0.9048
68 O 0.3166 0.4985 0.4048
69 O 0.3428 0.0565 0.5939
70 O 0.3428 0.4435 0.0939
71 O 0.3593 0.2359 0.1629
72 O 0.3593 0.2641 0.6629
73 O 0.3792 0.5078 0.2423
74 O 0.3792 0.9922 0.7423
75 O 0.3839 0.1411 0.0261
76 O 0.3839 0.3589 0.5261
77 O 0.4073 0.1426 0.4615
78 O 0.4073 0.3574 0.9615
79 O 0.4153 0.7006 0.8751
80 O 0.4153 0.7994 0.3751
81 O 0.4575 0.0725 0.3349
82 O 0.4575 0.4275 0.8349
83 O 0.4972 0.2247 0.8751
84 O 0.4972 0.2753 0.3751
85 O 0.5028 0.7247 0.6249
86 O 0.5028 0.7753 0.1249
87 O 0.5425 0.5725 0.1651
88 O 0.5425 0.9275 0.6651
89 O 0.5847 0.2006 0.6249
90 O 0.5847 0.2994 0.1249
91 O 0.5927 0.6426 0.0385
92 O 0.5927 0.8574 0.5385
93 O 0.6161 0.6411 0.4739
94 O 0.6161 0.8589 0.9739
95 O 0.6208 0.0078 0.2577
96 O 0.6208 0.4922 0.7577
97 O 0.6407 0.7359 0.3371
98 O 0.6407 0.7641 0.8371
99 O 0.6572 0.5565 0.9061
100 O 0.6572 0.9435 0.4061
101 O 0.6834 0.5015 0.5952
102 O 0.6834 0.9985 0.0952
103 O 0.6912 0.0530 0.9537
104 O 0.6912 0.4470 0.4537
105 O 0.7039 0.1457 0.8168
106 O 0.7039 0.3543 0.3168
107 O 0.7143 0.1427 0.3825
108 O 0.7143 0.3573 0.8825
109 O 0.7226 0.2373 0.5303
110 O 0.7226 0.2627 0.0303
111 O 0.7518 0.6958 0.1857
112 O 0.7518 0.8042 0.6857
113 O 0.7990 0.0833 0.6407
114 O 0.7990 0.4167 0.1406
115 O 0.8328 0.2161 0.1851
116 O 0.8328 0.2839 0.6851
117 O 0.8342 0.7207 0.9975
118 O 0.8342 0.7793 0.4975
119 O 0.8753 0.5774 0.5404
120 O 0.8753 0.9226 0.0404
121 O 0.9209 0.1953 0.9633
122 O 0.9209 0.3047 0.4633
123 O 0.9281 0.6369 0.3426
124 O 0.9281 0.8631 0.8426
125 O 0.9436 0.6485 0.7898
126 O 0.9436 0.8515 0.2898
127 O 0.9807 0.7301 0.6495
128 O 0.9807 0.7699 0.1495
129 O 0.9891 0.5528 0.2164
130 O 0.9891 0.9472 0.7164
131 O 0.9900 0.0259 0.5792
132 O 0.9900 0.4741 0.0792

=====

# 9
The following is a DFT calculation (PBE with a Hubbard U) of an optimized crystal structure of MgMn6O8F4.

Output
symmetry: P1, No. 1
calculated formation energy: -42.48 eV per formula unit

Unit cell a=4.9947 b=5.6219 c=7.8426 alpha=96.07 beta=91.32 gamma=90.41
Positions (direct):
1 Mg 0.0000 0.0000 0.0000
2 Mn 0.0020 0.6170 0.1751
3 Mn 0.0103 0.9868 0.4714
4 Mn 0.4673 0.8245 0.8092
5 Mn 0.5063 0.1554 0.1684
6 Mn 0.5389 0.5061 0.4957
7 Mn 0.9923 0.3822 0.8163
8 O 0.1457 0.6550 0.9414
9 O 0.1699 0.9521 0.2314
10 O 0.3241 0.7934 0.5834
11 O 0.3300 0.1338 0.9222
12 O 0.6755 0.5400 0.7261
13 O 0.6812 0.1958 0.3993
14 O 0.8264 0.3199 0.0723
15 O 0.8316 0.6930 0.3912
16 F 0.1802 0.2939 0.5777
17 F 0.3423 0.4778 0.2732
18 F 0.6669 0.8257 0.0411
19 F 0.8473 0.0396 0.7517

=====

Among the records above, which one has the highest calculated formation energy? Mn2BrO3

=====

What is the formula in the sixth record? Li3Co4O4F3

=====

Among the records above, which one has the lowest calculated formation energy? V2Zn3Si3O12

=====

Which of these has the highest calculated formation energy? Mn2BrO3